Material: BaPd2O4
Method: DFT, PBE-GGA
State: optimized geometry

The space group is I4_1/a (No. 88, origin choice 2) and the conventional cell measures 6.377, 6.377 and 10.457 Å, with angles of 90.00, 90.00 and 90.00 degrees. Symmetry generates all atoms from Ba at (0.000, 0.250, 0.125), Pd at (0.000, 0.000, 0.500) and O at (0.149, 0.013, 0.332).

Its total energy is -5.707 eV per atom. The formation energy is -10.63 eV/f.u.